[1]
! Li4V2C4SO16, optimized geometry, DFT GGA+U; values from VASP
&SYSTEM
  ibrav = 0, nat = 54, ntyp = 5
/
ATOMIC_SPECIES
Li 6.94 Li.upf
V 50.94 V.upf
C 12.01 C.upf
S 32.06 S.upf
O 16.00 O.upf
ATOMIC_POSITIONS angstrom
Li 4.8808 1.0350 5.3396
Li 8.7315 4.9940 5.3396
Li 8.1346 4.3643 8.8994
Li 11.9854 8.3233 8.8994
Li 1.0300 4.9940 5.3396
Li 4.8808 8.9530 5.3396
Li 4.2839 8.3233 8.8994
Li 8.1346 12.2824 8.8994
V 6.5077 3.3293 3.5597
V 3.2539 6.6587 3.5597
V 3.2539 3.3293 7.1195
V 6.5077 6.6587 7.1195
C 6.1817 3.7216 6.5342
C 6.1817 6.2664 4.1450
C 3.5799 3.7216 4.1450
C 9.4356 7.0510 7.7048
C 3.5799 6.2664 6.5342
C 9.4356 9.5957 10.0940
C 6.8337 7.0510 10.0940
C 6.8337 9.5957 7.7048
S 1.6269 1.6647 1.7799
S 11.3885 11.6527 12.4591
O 2.5158 0.7714 2.5886
O 2.5158 2.5580 0.9712
O 0.7381 0.7714 0.9712
O 6.9775 3.6560 5.5105
O 6.3410 5.3190 3.2761
O 4.5144 2.8472 3.9819
O 5.2472 2.8472 6.6973
O 6.9775 6.3320 5.1687
O 0.7381 2.5580 2.5886
O 3.4206 4.6690 3.2761
O 8.5011 6.1765 7.5416
O 9.5949 7.9984 6.8359
O 10.2313 6.9854 8.7285
O 6.3410 4.6690 7.4031
O 5.2472 7.1408 3.9819
O 2.7841 3.6560 5.1688
O 10.2313 9.6613 9.0702
O 7.7682 6.1765 10.2571
O 6.6744 8.6483 6.8359
O 2.7841 6.3320 5.5105
O 3.4206 5.3190 7.4031
O 4.5144 7.1408 6.6973
O 9.5949 8.6483 10.9628
O 12.2774 10.7594 11.6504
O 6.0380 6.9854 9.0702
O 7.7682 10.4701 7.5416
O 8.5011 10.4701 10.2571
O 6.6744 7.9984 10.9628
O 6.0380 9.6613 8.7285
O 12.2774 12.5460 13.2678
O 10.4997 10.7594 13.2678
O 10.4997 12.5460 11.6504
CELL_PARAMETERS angstrom
0.0000 6.6587 7.1195
6.5077 0.0000 7.1195
6.5077 6.6587 0.0000
! final energy: -6.99 eV per atom
! total magnetization: 8.0 μB per cell
! E_form: -2119 meV/atom


[2]
! MgMn2O4, optimized geometry, DFT GGA+U; values from VASP
&SYSTEM
  ibrav = 0, nat = 7, ntyp = 3
/
ATOMIC_SPECIES
Mg 24.30 Mg.upf
Mn 54.94 Mn.upf
O 16.00 O.upf
ATOMIC_POSITIONS angstrom
Mg 0.0000 0.0000 0.0000
Mn 0.0000 0.0000 2.7023
Mn 0.0000 0.0000 7.3333
O 0.0000 1.7677 3.4996
O 0.0000 1.7677 8.7910
O 1.5308 0.8838 1.2446
O 1.5308 0.8838 6.5360
CELL_PARAMETERS angstrom
3.0617 0.0000 0.0000
-1.5308 2.6515 0.0000
0.0000 0.0000 10.0356
! final energy: -6.85 eV per atom
! total magnetization: 8.0 μB per cell
! E_form: -2043 meV/atom